# Sr20P12BrCl3O48 GGA-PBE optimized geometry
# - calculated formation energy (eV per atom) = -3.294
# - crystal system = trigonal
# - magnetic moment (μB per atom) = 0.000
data_Sr20P12BrCl3O48
_cell_length_a 10.0399
_cell_length_b 10.0399
_cell_length_c 14.5470
_cell_angle_alpha 90.00
_cell_angle_beta 90.00
_cell_angle_gamma 120.00
_space_group_name_H-M_alt 'P -3'
_space_group_IT_number 147
loop_
_space_group_symop_operation_xyz
'x,y,z'
'-x,-y,-z'
'-y,x-y,z'
'y,-x+y,-z'
'-x+y,-x,z'
'x-y,x,-z'
loop_
_atom_site_label
_atom_site_type_symbol
_atom_site_fract_x
_atom_site_fract_y
_atom_site_fract_z
Sr1 Sr 0.0066 0.2578 0.3750
Sr2 Sr 0.0069 0.2601 0.8739
Sr3 Sr 0.3333 0.6667 0.9997
Sr4 Sr 0.3333 0.6667 0.2504
Sr5 Sr 0.3333 0.6667 0.4996
Sr6 Sr 0.3333 0.6667 0.7504
P1 P 0.0338 0.4072 0.1250
P2 P 0.0337 0.4073 0.6249
Br1 Br 0.0000 0.0000 0.0000
Cl1 Cl 0.0000 0.0000 0.2505
Cl2 Cl 0.0000 0.0000 0.5000
O1 O 0.0853 0.3539 0.2115
O2 O 0.0853 0.3539 0.5385
O3 O 0.0854 0.3540 0.7114
O4 O 0.0856 0.3546 0.0384
O5 O 0.1223 0.5875 0.1251
O6 O 0.1221 0.5875 0.6250
O7 O 0.1437 0.6581 0.3750
O8 O 0.1436 0.6579 0.8749